# CoP2H24C8S4NClO4

A relaxed structure of CoP2H24C8S4NClO4 (PBE with a Hubbard U, Materials Project).

- DFT total energy (eV for the cell shown) = -470.0
- V (Å³/f.u.) = 537
- E_form (eV per atom) = -0.482

Cell lengths 7.3301, 8.7807, 16.8320 Å; angles 84.83, 84.52, 89.90 degrees
Closest atoms and distances in Å follow each position.
Space group P-1 (No. 2)
Inequivalent atoms, fractional coordinates:
Co  0.2505  0.1775  0.2555 x2  1 Cl 2.29, 2 S 2.32-2.34
P  0.2308  0.2298  0.0742 x2  2 O 1.62-1.63
P  0.3185  0.3279  0.4031 x2  2 O 1.61-1.62
H  0.0050  0.7041  0.2126 x2  1 C 1.10
H  0.1029  0.9199  0.0815 x2  1 C 1.10
H  0.1129  0.4763  0.7849 x2  1 C 1.10
H  0.1172  0.5431  0.0655 x2  1 C 1.10
H  0.1186  0.0815  0.5603 x2  1 C 1.10
H  0.1203  0.3382  0.8702 x2  1 C 1.10
H  0.1284  0.6100  0.4334 x2  1 C 1.10
H  0.1549  0.2536  0.6621 x2  1 C 1.09
H  0.1645  0.0628  0.7763 x2  1 C 1.10
H  0.1693  0.0507  0.4564 x2  1 C 1.10
H  0.2230  0.5486  0.5260 x2  1 C 1.10
H  0.2347  0.8746  0.9907 x2  1 C 1.10
H  0.2396  0.5991  0.9697 x2  1 C 1.10
H  0.2885  0.4271  0.6580 x2  1 C 1.10
H  0.2887  0.1043  0.8590 x2  1 C 1.10
H  0.3249  0.7058  0.4618 x2  1 C 1.10
H  0.3455  0.0273  0.5241 x2  1 C 1.10
H  0.3492  0.9101  0.0774 x2  1 C 1.10
H  0.3642  0.5463  0.0550 x2  1 C 1.10
H  0.4020  0.2470  0.6504 x2  1 C 1.09
H  0.4127  0.0685  0.7653 x2  1 C 1.09
H  0.4273  0.6934  0.2385 x2  1 C 1.10
H  0.4481  0.3443  0.8553 x2  1 C 1.10
H  0.4481  0.4829  0.7697 x2  1 C 1.10
C  0.1150  0.3541  0.8052 x2  3 H 1.10
C  0.2235  0.0927  0.5091 x2  3 H 1.10
C  0.2320  0.9404  0.0431 x2  3 H 1.10
C  0.2406  0.5242  0.0254 x2  3 H 1.10
C  0.2545  0.5954  0.4636 x2  3 H 1.10
C  0.2819  0.3044  0.6772 x2  3 H 1.09-1.10
C  0.2877  0.1168  0.7936 x2  3 H 1.09-1.10
C  0.4515  0.3605  0.7899 x2  3 H 1.10
S  0.0026  0.2228  0.1470 x2  1 P 1.97
S  0.0914  0.3316  0.3432 x2  1 P 2.03
S  0.4492  0.2294  0.1388 x2  1 P 2.02
S  0.4790  0.7748  0.6565 x2  1 P 1.97
N  0.2839  0.2844  0.7665 x2  4 C 1.50
Cl  0.1956  0.9230  0.2905 x2  1 Co 2.29
O  0.2426  0.3687  0.0032 x2  1 C 1.45
O  0.2454  0.0995  0.0118 x2  1 C 1.45, 1 P 1.62
O  0.2715  0.2538  0.4944 x2  1 C 1.45, 1 P 1.62
O  0.3804  0.4958  0.4209 x2  1 C 1.45, 1 P 1.61

***

# ZnCoH22C5N10Cl4O6

A relaxed structure of ZnCoH22C5N10Cl4O6 (PBE with a Hubbard U, Materials Project).

- DFT total energy (eV for the cell shown) = -557.8
- V (Å³/f.u.) = 596
- E_form (eV per atom) = -0.715

Cell lengths 7.8324, 12.3039, 13.9281 Å; angles 108.09, 103.47, 100.61 degrees
Closest atoms and distances in Å follow each position.
Space group P-1 (No. 2)
Inequivalent atoms, fractional coordinates:
Zn  0.0473  0.2824  0.2015 x2  4 Cl 2.28-2.31
Co  0.4604  0.7671  0.2447 x2  6 O 2.09-2.20
H  0.0146  0.0886  0.6854 x2  1 N 1.01
H  0.0206  0.4475  0.7283 x2  1 N 1.02
H  0.0238  0.6923  0.2620 x2  1 N 1.02
H  0.0243  0.9982  0.7584 x2  1 N 1.02
H  0.1478  0.9982  0.1293 x2  1 N 1.02
H  0.2004  0.7998  0.4969 x2  1 N 1.02
H  0.2191  0.6241  0.0558 x2  1 O 0.98
H  0.2281  0.5448  0.1244 x2  1 O 0.99
H  0.2343  0.8482  0.6801 x2  1 N 1.02
H  0.2729  0.2960  0.0083 x2  1 N 1.02
H  0.2754  0.9099  0.4525 x2  1 N 1.02
H  0.2807  0.5476  0.4367 x2  1 N 1.02
H  0.2826  0.2752  0.8787 x2  1 N 1.02
H  0.2959  0.5366  0.7211 x2  1 N 1.02
H  0.3007  0.9079  0.1234 x2  1 N 1.02
H  0.3342  0.1590  0.5259 x2  1 N 1.02
H  0.3346  0.2064  0.4183 x2  1 N 1.02
H  0.3517  0.9952  0.7670 x2  1 N 1.02
H  0.3858  0.8547  0.9432 x2  1 N 1.02
H  0.4451  0.6317  0.5603 x2  1 N 1.02
H  0.4625  0.2151  0.1095 x2  1 N 1.02
H  0.4758  0.4706  0.7333 x2  1 N 1.01
C  0.1643  0.9069  0.2305 x2  1 O 1.28, 2 N 1.33-1.36
C  0.2377  0.3753  0.7387 x2  1 O 1.28, 2 N 1.35
C  0.3088  0.9694  0.6110 x2  1 O 1.27, 2 N 1.34-1.36
C  0.4466  0.2000  0.9556 x2  1 O 1.29, 2 N 1.34
C  0.4648  0.6914  0.4396 x2  1 O 1.27, 2 N 1.35-1.36
N  0.0501  0.9578  0.2784 x2  2 H 1.01-1.02
N  0.0608  0.3731  0.7270 x2  2 H 1.02
N  0.2099  0.9431  0.1566 x2  2 H 1.02
N  0.2359  0.8881  0.5102 x2  2 H 1.02
N  0.2919  0.9343  0.6915 x2  2 H 1.02
N  0.3181  0.2580  0.9468 x2  2 H 1.02
N  0.3486  0.4720  0.7373 x2  2 H 1.01-1.02
N  0.3810  0.6233  0.4847 x2  2 H 1.02
N  0.3825  0.2207  0.4968 x2  2 H 1.02
N  0.4908  0.8169  0.9532 x2  2 H 1.02
Cl  0.0252  0.3805  0.0841 x2  2 H 2.15-2.37, 1 Zn 2.31
Cl  0.0620  0.6312  0.6646 x2  1 Zn 2.28, 1 H 2.45
Cl  0.1181  0.9118  0.8894 x2  1 Zn 2.28, 3 H 2.36-2.53
Cl  0.3486  0.2892  0.2664 x2  1 Zn 2.30, 2 H 2.35-2.53
O  0.2276  0.8297  0.2601 x2  1 C 1.28
O  0.2934  0.2875  0.7511 x2  1 C 1.28
O  0.3012  0.6131  0.1150 x2  2 H 0.98-0.99
O  0.3836  0.0768  0.6260 x2  1 C 1.27
O  0.3971  0.6725  0.3416 x2  1 C 1.27
O  0.4933  0.8413  0.1231 x2  1 C 1.29

***

# Co3C10ClO9

A relaxed structure of Co3C10ClO9 (PBE with a Hubbard U, Materials Project).

- DFT total energy (eV for the cell shown) = -328.0
- V (Å³/f.u.) = 423
- E_form (eV per atom) = -0.656

Cell lengths 8.1426, 8.9946, 12.5499 Å; angles 86.77, 82.60, 67.99 degrees
Closest atoms and distances in Å follow each position.
Space group P-1 (No. 2)
Inequivalent atoms, fractional coordinates:
Co  0.0662  0.2309  0.1801 x2  4 C 1.76-1.89
Co  0.1672  0.4145  0.2693 x2  4 C 1.76-1.88
Co  0.3609  0.1274  0.2486 x2  4 C 1.76-1.88
C  0.0361  0.0482  0.1746 x2  1 O 1.16
C  0.0415  0.4329  0.6947 x2  1 O 1.16
C  0.1296  0.2279  0.3200 x2  1 Cl 1.71, 3 Co 1.88-1.89
C  0.1356  0.2672  0.0420 x2  1 O 1.16
C  0.1626  0.6510  0.8011 x2  1 O 1.16
C  0.2529  0.4981  0.1506 x2  1 O 1.16
C  0.2735  0.4559  0.3711 x2  1 O 1.16
C  0.3828  0.9250  0.2598 x2  1 O 1.16
C  0.4991  0.1361  0.1258 x2  1 O 1.16
C  0.4996  0.1166  0.3477 x2  1 O 1.16
Cl  0.0332  0.1834  0.4406 x2  1 C 1.71
O  0.0085  0.9314  0.1707 x2  1 C 1.16
O  0.1756  0.3298  0.6691 x2  1 C 1.16
O  0.1771  0.2897  0.9527 x2  1 C 1.16
O  0.3030  0.5556  0.0751 x2  1 C 1.16
O  0.3149  0.5795  0.7881 x2  1 C 1.16
O  0.3384  0.4874  0.4389 x2  1 C 1.16
O  0.3976  0.7921  0.2702 x2  1 C 1.16
O  0.4061  0.8959  0.5879 x2  1 C 1.16
O  0.4081  0.8628  0.9520 x2  1 C 1.16

***

# CoSiC4Cl3O4

A relaxed structure of CoSiC4Cl3O4 (PBE with a Hubbard U, Materials Project).

- DFT total energy (eV for the cell shown) = -330.7
- V (Å³/f.u.) = 302
- E_form (eV per atom) = -0.944

Cell lengths 8.8894, 11.3423, 12.1383 Å; angles 90.00, 99.41, 90.00 degrees
Closest atoms and distances in Å follow each position.
Space group P2_1/c (No. 14)
Inequivalent atoms, fractional coordinates:
Co  0.2243  0.0330  0.2781 x4  4 C 1.77-1.78
Si  0.3011  0.1525  0.1461 x4  3 Cl 2.06-2.07, 1 Co 2.29
C  0.0507  0.1124  0.2481 x4  1 O 1.16
C  0.1647  0.5546  0.8852 x4  1 O 1.15
C  0.2556  0.5851  0.6877 x4  1 O 1.15
C  0.3857  0.0914  0.3666 x4  1 O 1.16
Cl  0.1684  0.1341  0.9905 x4  1 Si 2.07
Cl  0.2915  0.1701  0.6852 x4  1 Si 2.07
Cl  0.4774  0.6212  0.3760 x4  1 Si 2.06
O  0.0645  0.6621  0.2692 x4  1 C 1.16
O  0.1254  0.6086  0.9558 x4  1 C 1.15
O  0.2745  0.6633  0.6306 x4  1 C 1.15
O  0.4907  0.1256  0.4271 x4  1 C 1.16